No. 1
{
  "formula": "BaLa5TiCr5O18",
  "functional": "PBE with a Hubbard U",
  "state": "optimized geometry",
  "lattice_angstrom": [[5.562, 0.000, 0.000], [2.727, 4.852, 0.000], [0.216, 0.097, 27.429]],
  "species": ["Ba", "Ba", "La", "La", "La", "La", "La", "La", "La", "La", "La", "La", "Ti", "Ti", "Cr", "Cr", "Cr", "Cr", "Cr", "Cr", "Cr", "Cr", "Cr", "Cr", "O", "O", "O", "O", "O", "O", "O", "O", "O", "O", "O", "O", "O", "O", "O", "O", "O", "O", "O", "O", "O", "O", "O", "O", "O", "O", "O", "O", "O", "O", "O", "O", "O", "O", "O", "O"],
  "frac_coords": [[0.000, 0.999, 0.125], [0.337, 0.331, 0.956], [0.670, 0.663, 0.039], [0.330, 0.328, 0.211], [0.997, 0.000, 0.376], [0.665, 0.666, 0.542], [0.661, 0.667, 0.292], [0.331, 0.335, 0.708], [0.332, 0.333, 0.459], [0.007, 0.002, 0.871], [0.998, 0.000, 0.625], [0.666, 0.672, 0.793], [0.000, 0.998, 0.999], [0.661, 0.669, 0.167], [0.330, 0.335, 0.335], [0.333, 0.333, 0.084], [0.001, 0.997, 0.252], [0.666, 0.667, 0.666], [0.666, 0.667, 0.417], [0.333, 0.334, 0.583], [0.000, 0.000, 0.500], [0.998, 0.004, 0.748], [0.667, 0.666, 0.915], [0.338, 0.330, 0.831], [0.523, 0.478, 0.128], [0.656, 0.173, 0.038], [0.521, 0.964, 0.119], [0.159, 0.684, 0.045], [0.235, 0.100, 0.293], [0.028, 0.484, 0.136], [0.321, 0.841, 0.206], [0.118, 0.214, 0.041], [0.188, 0.617, 0.281], [0.820, 0.367, 0.219], [0.908, 0.761, 0.458], [0.710, 0.149, 0.304], [0.949, 0.527, 0.364], [0.771, 0.885, 0.212], [0.857, 0.285, 0.447], [0.477, 0.049, 0.388], [0.574, 0.428, 0.624], [0.382, 0.810, 0.471], [0.618, 0.191, 0.530], [0.426, 0.576, 0.375], [0.524, 0.953, 0.613], [0.142, 0.716, 0.554], [0.234, 0.100, 0.789], [0.049, 0.476, 0.637], [0.285, 0.856, 0.695], [0.094, 0.242, 0.541], [0.181, 0.626, 0.779], [0.808, 0.385, 0.720], [0.857, 0.809, 0.959], [0.716, 0.149, 0.801], [0.968, 0.504, 0.864], [0.759, 0.910, 0.707], [0.853, 0.299, 0.950], [0.500, 0.013, 0.877], [0.364, 0.817, 0.967], [0.441, 0.569, 0.870]],
  "crystal_system": "triclinic",
  "total_energy_ev_per_cell": -492.0,
  "delta_e_f_ev_per_atom": -3.2186,
  "mass_density_g_cm3": 6.405,
  "m_tot_mub_per_fu": 15.000
}

No. 2
{
  "formula": "Ba4LaTi4CrO15",
  "functional": "PBE with a Hubbard U",
  "state": "optimized geometry",
  "lattice_angstrom": [[4.015, -4.029, -4.029], [0.000, -20.009, 20.009], [-4.015, -4.029, -4.029]],
  "species": ["Ba", "Ba", "Ba", "Ba", "Ba", "Ba", "Ba", "Ba", "Ba", "Ba", "Ba", "Ba", "Ba", "Ba", "Ba", "Ba", "La", "La", "La", "La", "Ti", "Ti", "Ti", "Ti", "Ti", "Ti", "Ti", "Ti", "Ti", "Ti", "Ti", "Ti", "Ti", "Ti", "Ti", "Ti", "Cr", "Cr", "Cr", "Cr", "O", "O", "O", "O", "O", "O", "O", "O", "O", "O", "O", "O", "O", "O", "O", "O", "O", "O", "O", "O", "O", "O", "O", "O", "O", "O", "O", "O", "O", "O", "O", "O", "O", "O", "O", "O", "O", "O", "O", "O", "O", "O", "O", "O", "O", "O", "O", "O", "O", "O", "O", "O", "O", "O", "O", "O", "O", "O", "O", "O"],
  "frac_coords": [[0.250, 0.499, 0.250], [0.500, 0.999, 0.500], [0.750, 0.499, 0.750], [0.000, 0.999, 0.000], [0.250, 0.301, 0.250], [0.500, 0.801, 0.500], [0.750, 0.301, 0.750], [0.000, 0.801, 0.000], [0.250, 0.100, 0.250], [0.500, 0.600, 0.500], [0.750, 0.100, 0.750], [0.000, 0.600, 0.000], [0.500, 0.200, 0.500], [0.750, 0.700, 0.750], [0.000, 0.200, 0.000], [0.250, 0.700, 0.250], [0.500, 0.400, 0.500], [0.750, 0.900, 0.750], [0.000, 0.400, 0.000], [0.250, 0.900, 0.250], [0.750, 0.498, 0.250], [0.000, 0.998, 0.500], [0.250, 0.498, 0.750], [0.500, 0.998, 0.000], [0.750, 0.302, 0.250], [0.000, 0.802, 0.500], [0.250, 0.302, 0.750], [0.500, 0.802, 0.000], [0.750, 0.099, 0.250], [0.000, 0.599, 0.500], [0.250, 0.099, 0.750], [0.500, 0.599, 0.000], [0.500, 0.201, 0.000], [0.750, 0.701, 0.250], [0.000, 0.201, 0.500], [0.250, 0.701, 0.750], [0.500, 0.400, 0.000], [0.750, 0.900, 0.250], [0.000, 0.400, 0.500], [0.250, 0.900, 0.750], [0.250, 0.400, 0.250], [0.500, 0.900, 0.500], [0.750, 0.400, 0.750], [0.000, 0.900, 0.000], [0.625, 0.150, 0.125], [0.875, 0.650, 0.375], [0.125, 0.150, 0.625], [0.375, 0.650, 0.875], [0.375, 0.150, 0.875], [0.625, 0.650, 0.125], [0.875, 0.150, 0.375], [0.125, 0.650, 0.625], [0.250, 0.200, 0.250], [0.500, 0.700, 0.500], [0.750, 0.200, 0.750], [0.000, 0.700, 0.000], [0.500, 0.100, 0.500], [0.750, 0.600, 0.750], [0.000, 0.100, 0.000], [0.250, 0.600, 0.250], [0.500, 0.304, 0.500], [0.750, 0.804, 0.750], [0.000, 0.304, 0.000], [0.250, 0.804, 0.250], [0.500, 0.496, 0.500], [0.750, 0.996, 0.750], [0.000, 0.496, 0.000], [0.250, 0.996, 0.250], [0.633, 0.352, 0.133], [0.883, 0.852, 0.383], [0.133, 0.352, 0.633], [0.383, 0.852, 0.883], [0.867, 0.448, 0.367], [0.117, 0.948, 0.617], [0.367, 0.448, 0.867], [0.617, 0.948, 0.117], [0.633, 0.448, 0.133], [0.883, 0.948, 0.383], [0.133, 0.448, 0.633], [0.383, 0.948, 0.883], [0.867, 0.352, 0.367], [0.117, 0.852, 0.617], [0.367, 0.352, 0.867], [0.617, 0.852, 0.117], [0.875, 0.251, 0.375], [0.125, 0.751, 0.625], [0.375, 0.251, 0.875], [0.625, 0.751, 0.125], [0.375, 0.049, 0.875], [0.625, 0.549, 0.125], [0.875, 0.049, 0.375], [0.125, 0.549, 0.625], [0.625, 0.251, 0.125], [0.875, 0.751, 0.375], [0.125, 0.251, 0.625], [0.375, 0.751, 0.875], [0.625, 0.049, 0.125], [0.875, 0.549, 0.375], [0.125, 0.049, 0.625], [0.375, 0.549, 0.875]],
  "total_energy_ev_per_cell": -804.4,
  "delta_e_f_ev_per_atom": -3.4140,
  "mass_density_g_cm3": 6.011,
  "m_tot_mub_per_fu": 0.000
}